(i)
Compound: Li9Mn2Co5O16
Source: the Materials Project database
Functional: PBE+U
Structure: relaxed

Cell: 2.876 5.885 17.113 Å, 89.85 90.00 90.00°
Fractional positions:
Co 0.500 0.238 0.391
Co 0.500 0.752 0.129
Co 0.500 0.758 0.612
Co 0.000 0.511 0.747
Co 0.500 0.249 0.868
Li 0.500 0.750 0.870
Li 0.500 0.246 0.126
Li 0.000 0.502 0.994
Li 0.000 0.500 0.504
Li 0.500 0.756 0.383
Li 0.000 0.994 0.746
Li 0.500 0.247 0.618
Li 0.000 0.002 0.257
Li 0.000 0.999 0.500
O 0.500 0.270 0.751
O 0.000 0.015 0.872
O 0.000 0.527 0.628
O 0.500 0.256 0.494
O 0.000 0.974 0.129
O 0.000 0.477 0.364
O 0.000 0.486 0.873
O 0.500 0.748 0.506
O 0.500 0.769 0.003
O 0.000 0.019 0.373
O 0.500 0.278 0.246
O 0.000 0.975 0.625
O 0.500 0.228 0.000
O 0.500 0.733 0.750
O 0.500 0.720 0.253
O 0.000 0.526 0.135
Mn 0.000 0.497 0.253
Mn 0.000 0.999 0.999

Results
- Calculated volume: 9.050 A^3/atom
- Magnetic moment: 11.7 μB/f.u.


(ii)
Compound: Li9Mn2Co5O16
Source: the Materials Project database
Functional: PBE+U
Structure: relaxed

Cell: 5.055 5.905 10.141 Å, 89.94 99.97 105.64°
Fractional positions:
O 0.231 0.825 0.935
O 0.776 0.712 0.060
O 0.732 0.659 0.562
O 0.765 0.445 0.320
O 0.737 0.428 0.800
O 0.761 0.921 0.316
O 0.750 0.957 0.824
O 0.268 0.324 0.452
O 0.749 0.201 0.575
O 0.251 0.543 0.680
O 0.227 0.056 0.176
O 0.253 0.570 0.202
O 0.271 0.090 0.694
O 0.753 0.181 0.046
O 0.248 0.801 0.438
O 0.240 0.282 0.932
Li 0.497 0.367 0.130
Li 0.993 0.249 0.247
Li 0.009 0.004 0.495
Li 0.006 0.508 0.005
Li 0.500 0.632 0.883
Li 0.500 0.118 0.366
Li 0.501 0.874 0.124
Li 0.996 0.740 0.753
Li 0.498 0.874 0.623
Co 0.999 0.764 0.248
Co 0.498 0.117 0.881
Co 0.000 0.504 0.493
Co 0.997 0.250 0.751
Co 0.494 0.632 0.365
Mn 0.999 0.994 0.002
Mn 0.501 0.375 0.626

Results
- Calculated volume: 8.961 A^3/atom
- Magnetic moment: 8.0 μB/f.u.


Least stable of them? (i).


(i)
Compound: Li9Mn2Co5O16
Source: the Materials Project database
Functional: PBE+U
Structure: relaxed

Cell: 2.904 5.167 19.345 Å, 84.77 90.00 90.00°
Fractional positions:
O 0.000 0.194 0.436
O 0.500 0.169 0.942
O 0.500 0.925 0.688
O 0.500 0.087 0.308
O 0.000 0.559 0.319
O 0.500 0.657 0.446
O 0.000 0.280 0.062
O 0.500 0.835 0.054
O 0.000 0.930 0.182
O 0.000 0.818 0.567
O 0.500 0.407 0.190
O 0.000 0.479 0.690
O 0.500 0.563 0.808
O 0.500 0.354 0.563
O 0.000 0.015 0.802
O 0.000 0.713 0.941
Li 0.500 0.508 0.995
Li 0.000 0.128 0.627
Li 0.500 0.859 0.875
Li 0.500 0.746 0.250
Li 0.500 0.001 0.501
Li 0.500 0.250 0.750
Li 0.000 0.399 0.877
Li 0.000 0.614 0.123
Li 0.000 0.877 0.376
Co 0.500 0.110 0.123
Co 0.500 0.377 0.378
Co 0.000 0.748 0.754
Co 0.000 0.506 0.504
Co 0.500 0.652 0.626
Mn 0.000 0.992 0.994
Mn 0.000 0.247 0.250

Results
- Calculated volume: 9.034 A^3/atom
- Magnetic moment: 10.0 μB/f.u.


(ii)
Compound: Li9Mn2Co5O16
Source: the Materials Project database
Functional: PBE+U
Structure: relaxed

Cell: 5.026 5.863 9.886 Å, 88.13 80.40 88.09°
Fractional positions:
Mn 0.000 0.000 0.000
Mn 0.000 0.500 0.000
O 0.871 0.757 0.895
O 0.145 0.769 0.112
O 0.367 0.006 0.896
O 0.633 0.994 0.104
O 0.623 0.776 0.611
O 0.129 0.243 0.105
O 0.638 0.246 0.620
O 0.855 0.231 0.888
O 0.136 0.003 0.616
O 0.864 0.997 0.384
O 0.377 0.224 0.389
O 0.102 0.508 0.624
O 0.362 0.754 0.380
O 0.622 0.490 0.106
O 0.378 0.510 0.894
O 0.898 0.492 0.376
Li 0.247 0.999 0.259
Li 0.500 0.500 0.500
Li 0.263 0.253 0.731
Li 0.737 0.747 0.269
Li 0.257 0.742 0.733
Li 0.740 0.494 0.738
Li 0.743 0.258 0.267
Li 0.260 0.506 0.262
Li 0.753 0.001 0.741
Co 0.500 0.000 0.500
Co 0.018 0.740 0.497
Co 0.982 0.260 0.503
Co 0.500 0.248 0.999
Co 0.500 0.752 0.001

Results
- Calculated volume: 8.968 A^3/atom
- Magnetic moment: 8.0 μB/f.u.


(iii)
Compound: Li9Mn2Co5O16
Source: the Materials Project database
Functional: PBE+U
Structure: relaxed

Cell: 5.795 6.581 7.742 Å, 86.14 80.15 77.42°
Fractional positions:
Co 0.624 0.251 0.252
Co 0.747 0.500 0.500
Co 0.375 0.737 0.743
Co 0.499 0.001 0.996
Co 0.881 0.743 0.740
Li 0.190 0.382 0.862
Li 0.938 0.871 0.383
Li 0.557 0.134 0.620
Li 0.064 0.131 0.625
Li 0.688 0.380 0.870
Li 0.317 0.617 0.131
Li 0.435 0.871 0.382
Li 0.254 0.498 0.499
Li 0.813 0.618 0.126
O 0.788 0.055 0.829
O 0.955 0.447 0.682
O 0.400 0.304 0.084
O 0.269 0.060 0.835
O 0.474 0.445 0.689
O 0.086 0.711 0.937
O 0.852 0.193 0.418
O 0.153 0.815 0.580
O 0.593 0.703 0.925
O 0.036 0.539 0.310
O 0.350 0.189 0.414
O 0.206 0.956 0.178
O 0.552 0.538 0.317
O 0.907 0.290 0.078
O 0.654 0.807 0.565
O 0.720 0.958 0.172
Mn 0.997 0.000 0.002
Mn 0.127 0.256 0.256

Results
- Calculated volume: 8.869 A^3/atom
- Magnetic moment: 8.0 μB/f.u.


Least stable of them? (i).


(i)
Compound: Li9Mn2Co5O16
Source: the Materials Project database
Functional: PBE+U
Structure: relaxed

Cell: 5.922 5.922 10.317 Å, 71.66 71.66 58.11°
Fractional positions:
Li 0.244 0.753 0.267
Li 0.753 0.244 0.267
Li 0.759 0.759 0.737
Li 0.756 0.247 0.733
Li 0.247 0.756 0.733
Li 0.253 0.253 0.735
Li 0.000 0.000 0.500
Li 0.241 0.241 0.263
Li 0.747 0.747 0.265
O 0.863 0.863 0.385
O 0.613 0.148 0.612
O 0.137 0.137 0.615
O 0.637 0.142 0.115
O 0.142 0.637 0.115
O 0.384 0.384 0.387
O 0.616 0.616 0.613
O 0.855 0.855 0.887
O 0.375 0.375 0.897
O 0.858 0.363 0.885
O 0.387 0.852 0.388
O 0.625 0.625 0.103
O 0.363 0.858 0.885
O 0.145 0.145 0.113
O 0.148 0.613 0.612
O 0.852 0.387 0.388
Co 0.000 0.500 0.000
Co 0.500 0.000 0.500
Co 0.500 0.500 0.500
Co 0.000 0.500 0.500
Co 0.500 0.000 0.000
Mn 0.500 0.500 0.000
Mn 0.000 0.000 0.000

Results
- Calculated volume: 8.957 A^3/atom
- Magnetic moment: 14.0 μB/f.u.


(ii)
Compound: Li9Mn2Co5O16
Source: the Materials Project database
Functional: PBE+U
Structure: relaxed

Cell: 2.984 5.063 19.105 Å, 92.61 92.65 91.27°
Fractional positions:
O 0.535 0.082 0.687
O 0.489 0.582 0.186
O 0.038 0.711 0.064
O 0.524 0.151 0.058
O 0.005 0.529 0.689
O 0.993 0.297 0.943
O 0.971 0.793 0.440
O 0.987 0.209 0.562
O 0.457 0.666 0.564
O 0.527 0.332 0.439
O 0.966 0.043 0.186
O 0.515 0.919 0.312
O 0.487 0.838 0.945
O 0.472 0.431 0.807
O 0.000 0.972 0.804
O 0.044 0.454 0.310
Li 0.001 0.126 0.375
Li 0.504 0.492 0.996
Li 0.503 0.248 0.250
Li 0.492 0.754 0.750
Li 0.498 0.000 0.501
Li 0.488 0.141 0.877
Li 0.998 0.874 0.626
Li 0.011 0.606 0.874
Li 0.992 0.381 0.127
Co 0.493 0.369 0.626
Co 0.990 0.499 0.502
Co 0.001 0.751 0.248
Co 0.508 0.868 0.124
Co 0.998 0.250 0.755
Mn 0.005 0.004 0.996
Mn 0.507 0.626 0.376

Results
- Calculated volume: 8.997 A^3/atom
- Magnetic moment: 12.0 μB/f.u.


Least stable of them? (i).


(i)
Compound: MgV4O7F5
Source: the Materials Project database
Functional: PBE+U
Structure: relaxed

Cell: 5.280 5.360 8.815 Å, 75.78 90.06 60.71°
Fractional positions:
O 0.559 0.740 0.372
O 0.041 0.762 0.865
O 0.494 0.242 0.620
O 0.453 0.724 0.667
O 0.961 0.228 0.126
O 0.413 0.756 0.075
O 0.048 0.229 0.444
V 0.255 0.528 0.758
V 0.050 0.975 0.021
V 0.449 0.031 0.506
V 0.742 0.498 0.261
F 0.593 0.244 0.918
F 0.074 0.241 0.819
F 0.945 0.725 0.165
F 0.549 0.262 0.317
F 0.934 0.702 0.578
Mg 0.802 0.375 0.611

Results
- Calculated volume: 12.276 A^3/atom
- Magnetic moment: 3.0 μB/f.u.


(ii)
Compound: MgV4O7F5
Source: the Materials Project database
Functional: PBE+U
Structure: relaxed

Cell: 5.173 5.478 8.939 Å, 72.14 91.20 118.69°
Fractional positions:
F 0.474 0.766 0.374
F 0.092 0.772 0.167
F 0.543 0.258 0.623
F 0.090 0.776 0.572
F 0.430 0.239 0.940
O 0.943 0.734 0.877
O 0.925 0.252 0.825
O 0.923 0.241 0.424
O 0.572 0.753 0.662
O 0.557 0.752 0.088
O 0.982 0.232 0.127
O 0.433 0.228 0.316
V 0.561 0.023 0.508
V 0.788 0.540 0.755
V 0.960 0.007 0.986
V 0.246 0.439 0.238
Mg 0.531 0.077 0.158

Results
- Calculated volume: 12.298 A^3/atom
- Magnetic moment: 3.0 μB/f.u.


Least stable of them? (i).


(i)
Compound: MgV4O7F5
Source: the Materials Project database
Functional: PBE+U
Structure: relaxed

Cell: 5.162 5.486 8.975 Å, 73.80 89.54 118.84°
Fractional positions:
O 0.578 0.739 0.071
O 0.963 0.760 0.869
O 0.551 0.740 0.675
O 0.020 0.208 0.127
O 0.899 0.251 0.831
O 0.429 0.261 0.334
O 0.922 0.275 0.419
F 0.090 0.737 0.191
F 0.535 0.757 0.374
F 0.401 0.232 0.920
F 0.553 0.285 0.611
F 0.058 0.754 0.557
V 0.938 0.018 0.987
V 0.757 0.528 0.772
V 0.538 0.986 0.513
V 0.246 0.440 0.243
Mg 0.822 0.605 0.390

Results
- Calculated volume: 12.394 A^3/atom
- Magnetic moment: 3.0 μB/f.u.


(ii)
Compound: MgV4O7F5
Source: the Materials Project database
Functional: PBE+U
Structure: relaxed

Cell: 5.233 7.374 5.450 Å, 92.94 88.38 90.04°
Fractional positions:
O 0.583 0.252 0.512
O 0.290 0.443 0.204
O 0.261 0.032 0.784
O 0.743 0.951 0.228
O 0.084 0.734 0.027
O 0.195 0.447 0.714
O 0.373 0.742 0.490
F 0.810 0.561 0.332
F 0.794 0.920 0.692
F 0.884 0.258 0.007
F 0.208 0.041 0.296
F 0.693 0.549 0.799
Mg 0.003 0.792 0.407
V 0.006 0.998 0.986
V 0.516 0.029 0.492
V 0.480 0.518 0.515
V 0.063 0.495 0.001

Results
- Calculated volume: 12.350 A^3/atom
- Magnetic moment: 3.0 μB/f.u.


(iii)
Compound: MgV4O7F5
Source: the Materials Project database
Functional: PBE+U
Structure: relaxed

Cell: 5.144 7.693 5.337 Å, 93.40 86.54 89.01°
Fractional positions:
O 0.285 0.036 0.761
O 0.769 0.560 0.250
O 0.686 0.948 0.205
O 0.289 0.450 0.217
O 0.782 0.947 0.705
O 0.205 0.455 0.721
O 0.197 0.052 0.277
Mg 0.525 0.733 0.076
F 0.620 0.251 0.507
F 0.146 0.748 0.003
F 0.680 0.575 0.784
F 0.394 0.748 0.470
F 0.879 0.249 0.998
V 0.539 0.006 0.533
V 0.009 0.484 0.001
V 0.018 0.011 0.034
V 0.476 0.488 0.470

Results
- Calculated volume: 12.378 A^3/atom
- Magnetic moment: 3.0 μB/f.u.


(iv)
Compound: MgV4O7F5
Source: the Materials Project database
Functional: PBE+U
Structure: relaxed

Cell: 5.120 5.521 8.993 Å, 71.45 90.90 60.90°
Fractional positions:
F 0.054 0.286 0.832
F 0.512 0.757 0.379
F 0.462 0.275 0.611
F 0.995 0.756 0.874
F 0.976 0.261 0.115
O 0.580 0.275 0.907
O 0.451 0.739 0.062
O 0.552 0.256 0.331
O 0.417 0.789 0.677
O 0.068 0.245 0.412
O 0.903 0.771 0.580
O 0.928 0.751 0.174
V 0.014 0.957 0.026
V 0.514 0.007 0.490
V 0.278 0.518 0.738
V 0.743 0.492 0.263
Mg 0.692 0.616 0.894

Results
- Calculated volume: 12.121 A^3/atom
- Magnetic moment: 3.0 μB/f.u.


Least stable of them? (iii).